Entry 1:
Compound: Li6Co3P8O29
Source: the Materials Project database
Functional: PBE with a Hubbard U
Structure: relaxed

a = 9.708 Å, b = 9.712 Å, c = 13.848 Å
α = 89.93°, β = 89.80°, γ = 60.23°
Space group P1 (No. 1)
One atom of each set of equivalent atoms:
Li1 0.000 0.000 0.000 (multiplicity 1)
Li2 0.009 0.449 0.503 (multiplicity 1)
Li3 0.109 0.729 0.579 (multiplicity 1)
Li4 0.186 0.360 0.130 (multiplicity 1)
Li5 0.310 0.771 0.129 (multiplicity 1)
Li6 0.331 0.352 0.628 (multiplicity 1)
Li7 0.413 0.448 0.001 (multiplicity 1)
Li8 0.426 0.584 0.504 (multiplicity 1)
Li9 0.760 0.343 0.186 (multiplicity 1)
Li10 0.775 0.770 0.628 (multiplicity 1)
Li11 0.861 0.007 0.501 (multiplicity 1)
Li12 0.873 0.588 0.001 (multiplicity 1)
Co1 0.092 0.241 0.321 (multiplicity 1)
Co2 0.098 0.109 0.813 (multiplicity 1)
Co3 0.530 0.676 0.316 (multiplicity 1)
Co4 0.532 0.239 0.818 (multiplicity 1)
Co5 0.662 0.675 0.815 (multiplicity 1)
Co6 0.663 0.111 0.317 (multiplicity 1)
P1 0.010 0.446 0.723 (multiplicity 1)
P2 0.183 0.902 0.402 (multiplicity 1)
P3 0.188 0.349 0.905 (multiplicity 1)
P4 0.324 0.770 0.906 (multiplicity 1)
P5 0.330 0.352 0.407 (multiplicity 1)
P6 0.412 0.584 0.725 (multiplicity 1)
P7 0.422 0.442 0.225 (multiplicity 1)
P8 0.427 0.014 0.696 (multiplicity 1)
P9 0.430 0.012 0.201 (multiplicity 1)
P10 0.758 0.346 0.439 (multiplicity 1)
P11 0.763 0.341 0.938 (multiplicity 1)
P12 0.771 0.769 0.405 (multiplicity 1)
P13 0.774 0.908 0.907 (multiplicity 1)
P14 0.863 0.581 0.225 (multiplicity 1)
P15 0.865 0.998 0.725 (multiplicity 1)
P16 0.998 0.006 0.223 (multiplicity 1)
O1 0.001 0.292 0.734 (multiplicity 1)
O2 0.013 0.017 0.729 (multiplicity 1)
O3 0.015 0.415 0.231 (multiplicity 1)
O4 0.085 0.941 0.129 (multiplicity 1)
O5 0.092 0.884 0.485 (multiplicity 1)
O6 0.096 0.467 0.817 (multiplicity 1)
O7 0.099 0.451 0.634 (multiplicity 1)
O8 0.104 0.429 0.998 (multiplicity 1)
O9 0.108 0.883 0.303 (multiplicity 1)
O10 0.172 0.933 0.906 (multiplicity 1)
O11 0.180 0.334 0.407 (multiplicity 1)
O12 0.182 0.061 0.400 (multiplicity 1)
O13 0.198 0.189 0.889 (multiplicity 1)
O14 0.270 0.161 0.236 (multiplicity 1)
O15 0.288 0.996 0.742 (multiplicity 1)
O16 0.303 0.675 0.817 (multiplicity 1)
O17 0.309 0.460 0.313 (multiplicity 1)
O18 0.320 0.657 0.633 (multiplicity 1)
O19 0.326 0.444 0.496 (multiplicity 1)
O20 0.339 0.679 0.998 (multiplicity 1)
O21 0.346 0.429 0.133 (multiplicity 1)
O22 0.354 0.758 0.404 (multiplicity 1)
O23 0.355 0.334 0.905 (multiplicity 1)
O24 0.403 0.029 0.588 (multiplicity 1)
O25 0.421 0.172 0.732 (multiplicity 1)
O26 0.430 0.856 0.232 (multiplicity 1)
O27 0.432 0.597 0.225 (multiplicity 1)
O28 0.435 0.414 0.731 (multiplicity 1)
O29 0.436 0.022 0.093 (multiplicity 1)
O30 0.473 0.783 0.888 (multiplicity 1)
O31 0.484 0.193 0.397 (multiplicity 1)
O32 0.567 0.586 0.733 (multiplicity 1)
O33 0.578 0.009 0.246 (multiplicity 1)
O34 0.589 0.870 0.724 (multiplicity 1)
O35 0.590 0.300 0.243 (multiplicity 1)
O36 0.602 0.495 0.399 (multiplicity 1)
O37 0.605 0.348 0.902 (multiplicity 1)
O38 0.609 0.779 0.393 (multiplicity 1)
O39 0.610 0.059 0.891 (multiplicity 1)
O40 0.710 0.156 0.736 (multiplicity 1)
O41 0.717 0.558 0.244 (multiplicity 1)
O42 0.744 0.349 0.547 (multiplicity 1)
O43 0.754 0.350 0.048 (multiplicity 1)
O44 0.755 0.761 0.909 (multiplicity 1)
O45 0.758 0.935 0.405 (multiplicity 1)
O46 0.771 0.187 0.399 (multiplicity 1)
O47 0.772 0.487 0.899 (multiplicity 1)
O48 0.835 0.017 0.226 (multiplicity 1)
O49 0.843 0.594 0.723 (multiplicity 1)
O50 0.857 0.657 0.131 (multiplicity 1)
O51 0.860 0.684 0.496 (multiplicity 1)
O52 0.861 0.918 0.993 (multiplicity 1)
O53 0.874 0.910 0.631 (multiplicity 1)
O54 0.879 0.881 0.810 (multiplicity 1)
O55 0.880 0.679 0.313 (multiplicity 1)
O56 0.910 0.353 0.407 (multiplicity 1)
O57 0.912 0.185 0.903 (multiplicity 1)
O58 0.973 0.174 0.247 (multiplicity 1)

Summary:
Polymorph energy (0 for the lowest one): 0.003 eV/atom
Mass density: 2726 kg/m3
Energy: -6.557 eV/atom
ΔE_f: -106.89 eV per formula unit
M_tot: 0.0654 μB/atom



Entry 2:
Compound: Li2CoP2O7
Source: the Materials Project database
Functional: PBE with a Hubbard U
Structure: relaxed

a = 4.816 Å, b = 9.219 Å, c = 11.793 Å
α = 84.77°, β = 89.98°, γ = 89.96°
Space group P1 (No. 1)
One atom of each set of equivalent atoms:
Li1 0.000 0.000 0.000 (multiplicity 1)
Li2 0.006 0.696 0.868 (multiplicity 1)
Li3 0.474 0.700 0.356 (multiplicity 1)
Li4 0.490 0.997 0.503 (multiplicity 1)
Li5 0.499 0.499 0.000 (multiplicity 1)
Li6 0.516 0.199 0.859 (multiplicity 1)
Li7 0.973 0.199 0.354 (multiplicity 1)
Li8 0.992 0.499 0.501 (multiplicity 1)
Co1 0.495 0.097 0.189 (multiplicity 1)
Co2 0.497 0.598 0.691 (multiplicity 1)
Co3 0.997 0.098 0.690 (multiplicity 1)
Co4 0.997 0.597 0.192 (multiplicity 1)
P1 0.028 0.399 0.827 (multiplicity 1)
P2 0.032 0.293 0.066 (multiplicity 1)
P3 0.459 0.292 0.566 (multiplicity 1)
P4 0.464 0.399 0.327 (multiplicity 1)
P5 0.529 0.900 0.826 (multiplicity 1)
P6 0.534 0.793 0.065 (multiplicity 1)
P7 0.960 0.793 0.566 (multiplicity 1)
P8 0.966 0.899 0.327 (multiplicity 1)
O1 0.139 0.845 0.447 (multiplicity 1)
O2 0.156 0.258 0.793 (multiplicity 1)
O3 0.167 0.435 0.095 (multiplicity 1)
O4 0.178 0.728 0.648 (multiplicity 1)
O5 0.191 0.967 0.253 (multiplicity 1)
O6 0.243 0.512 0.356 (multiplicity 1)
O7 0.245 0.178 0.035 (multiplicity 1)
O8 0.246 0.177 0.534 (multiplicity 1)
O9 0.248 0.511 0.857 (multiplicity 1)
O10 0.308 0.971 0.750 (multiplicity 1)
O11 0.318 0.727 0.147 (multiplicity 1)
O12 0.324 0.434 0.596 (multiplicity 1)
O13 0.335 0.259 0.291 (multiplicity 1)
O14 0.353 0.847 0.947 (multiplicity 1)
O15 0.638 0.344 0.447 (multiplicity 1)
O16 0.656 0.758 0.793 (multiplicity 1)
O17 0.670 0.934 0.097 (multiplicity 1)
O18 0.676 0.228 0.648 (multiplicity 1)
O19 0.688 0.469 0.252 (multiplicity 1)
O20 0.744 0.011 0.357 (multiplicity 1)
O21 0.747 0.678 0.534 (multiplicity 1)
O22 0.748 0.679 0.032 (multiplicity 1)
O23 0.750 0.011 0.857 (multiplicity 1)
O24 0.805 0.469 0.751 (multiplicity 1)
O25 0.815 0.229 0.148 (multiplicity 1)
O26 0.824 0.934 0.597 (multiplicity 1)
O27 0.839 0.758 0.293 (multiplicity 1)
O28 0.852 0.345 0.947 (multiplicity 1)

Summary:
Polymorph energy (0 for the lowest one): 0.064 eV/atom
Mass density: 3143 kg/m3
Energy: -6.615 eV/atom
ΔE_f: -29.44 eV per formula unit
M_tot: 0.0000 μB/atom



Entry 3:
Compound: LiCo2P3O10
Source: the Materials Project database
Functional: PBE with a Hubbard U
Structure: relaxed

a = 4.656 Å, b = 8.571 Å, c = 9.073 Å
α = 90.00°, β = 97.87°, γ = 90.00°
Space group P2_1/m (No. 11)
One atom of each set of equivalent atoms:
Li1 0.000 0.000 0.000 (multiplicity 2)
Co1 0.037 0.070 0.336 (multiplicity 4)
P1 0.328 0.250 0.823 (multiplicity 2)
P2 0.395 0.750 0.461 (multiplicity 2)
P3 0.458 0.250 0.145 (multiplicity 2)
O1 0.158 0.099 0.814 (multiplicity 4)
O2 0.224 0.600 0.482 (multiplicity 4)
O3 0.242 0.750 0.761 (multiplicity 2)
O4 0.283 0.101 0.158 (multiplicity 4)
O5 0.303 0.250 0.447 (multiplicity 2)
O6 0.436 0.750 0.288 (multiplicity 2)
O7 0.451 0.750 0.024 (multiplicity 2)

Summary:
Polymorph energy (0 for the lowest one): 0.000 eV/atom
Mass density: 3497 kg/m3
Energy: -6.877 eV/atom
ΔE_f: -38.34 eV per formula unit
M_tot: 0.3750 μB/atom



Entry 4:
Compound: Li2CoP5O15
Source: the Materials Project database
Functional: PBE with a Hubbard U
Structure: relaxed

a = 5.143 Å, b = 13.293 Å, c = 8.888 Å
α = 90.00°, β = 101.87°, γ = 90.00°
Space group P2_1/m (No. 11)
One atom of each set of equivalent atoms:
Li1 0.058 0.116 0.091 (multiplicity 4)
Co1 0.500 0.000 0.500 (multiplicity 2)
P1 0.000 0.139 0.518 (multiplicity 4)
P2 0.342 0.075 0.815 (multiplicity 4)
P3 0.455 0.750 0.986 (multiplicity 2)
O1 0.047 0.250 0.461 (multiplicity 2)
O2 0.140 0.145 0.695 (multiplicity 4)
O3 0.146 0.071 0.427 (multiplicity 4)
O4 0.189 0.030 0.924 (multiplicity 4)
O5 0.192 0.750 0.878 (multiplicity 2)
O6 0.286 0.250 0.066 (multiplicity 2)
O7 0.295 0.625 0.495 (multiplicity 4)
O8 0.445 0.656 0.104 (multiplicity 4)
O9 0.488 0.006 0.725 (multiplicity 4)

Summary:
Mass density: 2612 kg/m3
Energy: -6.815 eV/atom
ΔE_f: -56.48 eV per formula unit
M_tot: 0.0000 μB/atom



Entry 5:
Compound: Li2CoP2O7
Source: the Materials Project database
Functional: PBE with a Hubbard U
Structure: relaxed

a = 5.084 Å, b = 13.406 Å, c = 9.362 Å
α = 90.00°, β = 120.32°, γ = 90.00°
Space group P2_1/c (No. 14)
One atom of each set of equivalent atoms:
Li1 0.034 0.110 0.363 (multiplicity 4)
Li2 0.424 0.198 0.165 (multiplicity 4)
Co1 0.038 0.160 0.737 (multiplicity 4)
P1 0.267 0.679 0.533 (multiplicity 4)
P2 0.474 0.529 0.775 (multiplicity 4)
O1 0.001 0.691 0.355 (multiplicity 4)
O2 0.201 0.731 0.658 (multiplicity 4)
O3 0.219 0.535 0.819 (multiplicity 4)
O4 0.272 0.107 0.628 (multiplicity 4)
O5 0.304 0.561 0.578 (multiplicity 4)
O6 0.403 0.574 0.219 (multiplicity 4)
O7 0.428 0.211 0.951 (multiplicity 4)

Summary:
Polymorph energy (0 for the lowest one): 0.014 eV/atom
Mass density: 2975 kg/m3
Energy: -6.665 eV/atom
ΔE_f: -30.04 eV per formula unit
M_tot: 0.2500 μB/atom



Entry 6:
Compound: Li5Co2P3O12
Source: the Materials Project database
Functional: PBE with a Hubbard U
Structure: relaxed

a = 8.700 Å, b = 8.793 Å, c = 12.413 Å
α = 90.02°, β = 90.70°, γ = 90.07°
Space group P1 (No. 1)
One atom of each set of equivalent atoms:
Li1 0.000 0.000 0.000 (multiplicity 1)
Li2 0.004 0.427 0.345 (multiplicity 1)
Li3 0.027 0.865 0.625 (multiplicity 1)
Li4 0.074 0.789 0.397 (multiplicity 1)
Li5 0.134 0.752 0.834 (multiplicity 1)
Li6 0.228 0.251 0.966 (multiplicity 1)
Li7 0.288 0.288 0.403 (multiplicity 1)
Li8 0.336 0.364 0.175 (multiplicity 1)
Li9 0.359 0.927 0.454 (multiplicity 1)
Li10 0.364 0.500 0.799 (multiplicity 1)
Li11 0.486 0.534 0.492 (multiplicity 1)
Li12 0.506 0.115 0.843 (multiplicity 1)
Li13 0.557 0.749 0.906 (multiplicity 1)
Li14 0.583 0.838 0.143 (multiplicity 1)
Li15 0.631 0.783 0.346 (multiplicity 1)
Li16 0.732 0.282 0.454 (multiplicity 1)
Li17 0.778 0.339 0.657 (multiplicity 1)
Li18 0.805 0.249 0.893 (multiplicity 1)
Li19 0.855 0.615 0.956 (multiplicity 1)
Li20 0.877 0.034 0.308 (multiplicity 1)
Co1 0.173 0.490 0.551 (multiplicity 1)
Co2 0.181 0.070 0.759 (multiplicity 1)
Co3 0.181 0.571 0.040 (multiplicity 1)
Co4 0.189 0.990 0.249 (multiplicity 1)
Co5 0.676 0.577 0.757 (multiplicity 1)
Co6 0.680 0.476 0.251 (multiplicity 1)
Co7 0.681 0.976 0.548 (multiplicity 1)
Co8 0.687 0.077 0.042 (multiplicity 1)
P1 0.039 0.127 0.499 (multiplicity 1)
P2 0.039 0.420 0.806 (multiplicity 1)
P3 0.323 0.627 0.300 (multiplicity 1)
P4 0.323 0.920 0.994 (multiplicity 1)
P5 0.381 0.773 0.656 (multiplicity 1)
P6 0.479 0.273 0.640 (multiplicity 1)
P7 0.534 0.121 0.298 (multiplicity 1)
P8 0.536 0.412 0.997 (multiplicity 1)
P9 0.826 0.913 0.802 (multiplicity 1)
P10 0.829 0.621 0.501 (multiplicity 1)
P11 0.883 0.773 0.159 (multiplicity 1)
P12 0.982 0.273 0.143 (multiplicity 1)
O1 0.004 0.658 0.520 (multiplicity 1)
O2 0.022 0.147 0.226 (multiplicity 1)
O3 0.057 0.099 0.620 (multiplicity 1)
O4 0.059 0.545 0.894 (multiplicity 1)
O5 0.082 0.294 0.468 (multiplicity 1)
O6 0.094 0.262 0.844 (multiplicity 1)
O7 0.134 0.341 0.099 (multiplicity 1)
O8 0.136 0.473 0.710 (multiplicity 1)
O9 0.140 0.011 0.436 (multiplicity 1)
O10 0.223 0.510 0.363 (multiplicity 1)
O11 0.227 0.973 0.090 (multiplicity 1)
O12 0.229 0.842 0.701 (multiplicity 1)
O13 0.269 0.762 0.956 (multiplicity 1)
O14 0.280 0.794 0.331 (multiplicity 1)
O15 0.303 0.045 0.905 (multiplicity 1)
O16 0.306 0.600 0.179 (multiplicity 1)
O17 0.341 0.647 0.574 (multiplicity 1)
O18 0.359 0.157 0.280 (multiplicity 1)
O19 0.365 0.431 0.959 (multiplicity 1)
O20 0.387 0.340 0.543 (multiplicity 1)
O21 0.389 0.159 0.708 (multiplicity 1)
O22 0.472 0.705 0.755 (multiplicity 1)
O23 0.473 0.893 0.594 (multiplicity 1)
O24 0.495 0.602 0.337 (multiplicity 1)
O25 0.501 0.907 0.014 (multiplicity 1)
O26 0.532 0.401 0.720 (multiplicity 1)
O27 0.545 0.412 0.121 (multiplicity 1)
O28 0.553 0.001 0.390 (multiplicity 1)
O29 0.592 0.254 0.956 (multiplicity 1)
O30 0.609 0.047 0.199 (multiplicity 1)
O31 0.612 0.273 0.329 (multiplicity 1)
O32 0.631 0.203 0.593 (multiplicity 1)
O33 0.633 0.540 0.945 (multiplicity 1)
O34 0.729 0.040 0.855 (multiplicity 1)
O35 0.731 0.703 0.206 (multiplicity 1)
O36 0.750 0.772 0.471 (multiplicity 1)
O37 0.753 0.547 0.601 (multiplicity 1)
O38 0.771 0.754 0.844 (multiplicity 1)
O39 0.810 0.501 0.409 (multiplicity 1)
O40 0.817 0.912 0.678 (multiplicity 1)
O41 0.831 0.901 0.080 (multiplicity 1)
O42 0.862 0.407 0.786 (multiplicity 1)
O43 0.868 0.102 0.462 (multiplicity 1)
O44 0.889 0.393 0.206 (multiplicity 1)
O45 0.891 0.205 0.044 (multiplicity 1)
O46 0.973 0.660 0.091 (multiplicity 1)
O47 0.976 0.840 0.256 (multiplicity 1)
O48 0.998 0.932 0.840 (multiplicity 1)

Summary:
Mass density: 3060 kg/m3
Energy: -6.446 eV/atom
ΔE_f: -53.96 eV per formula unit
M_tot: 0.2727 μB/atom



Entry 7:
Compound: LiCo2P2O8
Source: the Materials Project database
Functional: PBE with a Hubbard U
Structure: relaxed

a = 5.266 Å, b = 7.923 Å, c = 8.775 Å
α = 87.63°, β = 86.99°, γ = 79.52°
Space group P1 (No. 1)
One atom of each set of equivalent atoms:
Li1 0.000 0.000 0.000 (multiplicity 1)
Li2 0.293 0.422 0.417 (multiplicity 1)
Co1 0.358 0.177 0.734 (multiplicity 1)
Co2 0.423 0.656 0.085 (multiplicity 1)
Co3 0.799 0.296 0.202 (multiplicity 1)
Co4 0.874 0.785 0.547 (multiplicity 1)
P1 0.354 0.770 0.746 (multiplicity 1)
P2 0.355 0.257 0.080 (multiplicity 1)
P3 0.880 0.687 0.215 (multiplicity 1)
P4 0.881 0.187 0.541 (multiplicity 1)
O1 0.059 0.779 0.110 (multiplicity 1)
O2 0.106 0.708 0.696 (multiplicity 1)
O3 0.138 0.255 0.555 (multiplicity 1)
O4 0.153 0.162 0.165 (multiplicity 1)
O5 0.270 0.953 0.811 (multiplicity 1)
O6 0.273 0.308 0.919 (multiplicity 1)
O7 0.392 0.413 0.179 (multiplicity 1)
O8 0.488 0.644 0.865 (multiplicity 1)
O9 0.532 0.778 0.599 (multiplicity 1)
O10 0.602 0.785 0.224 (multiplicity 1)
O11 0.640 0.148 0.083 (multiplicity 1)
O12 0.717 0.301 0.416 (multiplicity 1)
O13 0.721 0.198 0.692 (multiplicity 1)
O14 0.864 0.511 0.139 (multiplicity 1)
O15 0.941 0.001 0.483 (multiplicity 1)
O16 0.995 0.641 0.375 (multiplicity 1)

Summary:
Polymorph energy (0 for the lowest one): 0.037 eV/atom
Mass density: 2909 kg/m3
Energy: -6.656 eV/atom
ΔE_f: -28.76 eV per formula unit
M_tot: 0.5385 μB/atom



Entry 8:
Compound: Li2CoP2O7
Source: the Materials Project database
Functional: PBE with a Hubbard U
Structure: relaxed

a = 7.686 Å, b = 7.686 Å, c = 5.038 Å
α = 90.00°, β = 90.00°, γ = 90.00°
Space group P-42_1m (No. 113)
One atom of each set of equivalent atoms:
Li1 0.217 0.283 0.463 (multiplicity 4)
Co1 0.000 0.000 0.000 (multiplicity 2)
P1 0.143 0.643 0.099 (multiplicity 4)
O1 0.000 0.500 0.193 (multiplicity 2)
O2 0.081 0.810 0.241 (multiplicity 8)
O3 0.155 0.655 0.802 (multiplicity 4)

Summary:
Polymorph energy (0 for the lowest one): 0.054 eV/atom
Mass density: 2754 kg/m3
Energy: -6.625 eV/atom
ΔE_f: -29.55 eV per formula unit
M_tot: 0.0000 μB/atom